# 1
Computed, not measured: a relaxed structure of Cr3C2 at the PBE level of DFT.

Results
As for the symmetry: Pnma, No. 62. The energy above the most stable polymorph in this dataset comes out at 0.0000 eV/atom. As for the energy of formation: -0.0995 eV/atom.

Unit cell a=2.7884 b=5.4824 c=11.5101 alpha=90.00 beta=90.00 gamma=90.00
Last column: nearest neighbours and their distance in Å.
Atoms (fractional coordinates):
1 C 0.2500 0.7629 0.0490  6 Cr 2.02-2.06
2 Cr 0.7500 0.8663 0.9318  5 C 2.02-2.09
3 C 0.7500 0.7371 0.5490  6 Cr 2.02-2.06
4 Cr 0.7500 0.6836 0.7264  5 C 2.00-2.11
5 C 0.7500 0.2371 0.9510  6 Cr 2.02-2.06
6 Cr 0.7500 0.3663 0.5682  5 C 2.02-2.09
7 Cr 0.2500 0.1337 0.0682  5 C 2.02-2.09
8 C 0.2500 0.2629 0.4510  6 Cr 2.02-2.06
9 C 0.2500 0.8987 0.7977  6 Cr 2.00-2.11
10 Cr 0.7500 0.0167 0.4032  2 C 2.02
11 C 0.7500 0.6013 0.2977  6 Cr 2.00-2.11
12 Cr 0.7500 0.1836 0.7736  5 C 2.00-2.11
13 Cr 0.2500 0.8164 0.2264  5 C 2.00-2.11
14 Cr 0.2500 0.6337 0.4318  5 C 2.02-2.09
15 Cr 0.7500 0.5167 0.0968  2 C 2.02
16 Cr 0.2500 0.3164 0.2736  5 C 2.00-2.11
17 C 0.2500 0.3987 0.7023  6 Cr 2.00-2.11
18 C 0.7500 0.1013 0.2023  6 Cr 2.00-2.11
19 Cr 0.2500 0.4833 0.9032  2 C 2.02
20 Cr 0.2500 0.9833 0.5968  2 C 2.02

=====

# 2
Computed, not measured: a relaxed structure of Ti6Ga16Os7 at the PBE level of DFT.

Results
As for the symmetry: Fm-3m, No. 225. As for the energy of formation: -0.2303 eV/atom.

Unit cell a=8.6447 b=8.6447 c=8.6447 alpha=60.00 beta=60.00 gamma=60.00
Last column: nearest neighbours and their distance in Å.
Atoms (fractional coordinates):
1 Ga 0.3528 0.9418 0.3528  3 Os 2.53, 3 Ti 2.73, 3 Ga 2.83
2 Ga 0.6472 0.6472 0.0582  3 Os 2.53, 3 Ti 2.73, 3 Ga 2.83
3 Ga 0.8761 0.8761 0.8761  4 Os 2.62-2.65, 3 Ti 2.80, 3 Ga 2.83
4 Ga 0.3528 0.3528 0.9418  3 Os 2.53, 3 Ti 2.73, 3 Ga 2.83
5 Os 0.0000 0.5000 0.5000  8 Ga 2.53-2.65
6 Ti 0.2719 0.7281 0.2719  8 Ga 2.73-2.80
7 Ti 0.7281 0.7281 0.2719  8 Ga 2.73-2.80
8 Ti 0.7281 0.2719 0.7281  8 Ga 2.73-2.80
9 Os 0.0000 0.0000 0.5000  8 Ga 2.53-2.65
10 Ga 0.1239 0.1239 0.6282  4 Os 2.62-2.65, 3 Ti 2.80, 3 Ga 2.83
11 Ga 0.6472 0.0582 0.6472  3 Os 2.53, 3 Ti 2.73, 3 Ga 2.83
12 Ga 0.1239 0.1239 0.1239  4 Os 2.62-2.65, 3 Ti 2.80, 3 Ga 2.83
13 Ti 0.2719 0.7281 0.7281  8 Ga 2.73-2.80
14 Ga 0.6472 0.6472 0.6472  3 Os 2.53, 3 Ti 2.73, 3 Ga 2.83
15 Os 0.5000 0.5000 0.0000  8 Ga 2.53-2.65
16 Ti 0.7281 0.2719 0.2719  8 Ga 2.73-2.80
17 Ga 0.8761 0.8761 0.3718  4 Os 2.62-2.65, 3 Ti 2.80, 3 Ga 2.83
18 Ga 0.3718 0.8761 0.8761  4 Os 2.62-2.65, 3 Ti 2.80, 3 Ga 2.83
19 Os 0.5000 0.0000 0.5000  8 Ga 2.53-2.65
20 Ga 0.6282 0.1239 0.1239  4 Os 2.62-2.65, 3 Ti 2.80, 3 Ga 2.83
21 Ga 0.8761 0.3718 0.8761  4 Os 2.62-2.65, 3 Ti 2.80, 3 Ga 2.83
22 Ga 0.3528 0.3528 0.3528  3 Os 2.53, 3 Ti 2.73, 3 Ga 2.83
23 Ti 0.2719 0.2719 0.7281  8 Ga 2.73-2.80
24 Ga 0.0582 0.6472 0.6472  3 Os 2.53, 3 Ti 2.73, 3 Ga 2.83
25 Os 0.0000 0.0000 0.0000  8 Ga 2.62
26 Os 0.0000 0.5000 0.0000  8 Ga 2.53-2.65
27 Os 0.5000 0.0000 0.0000  8 Ga 2.53-2.65
28 Ga 0.9418 0.3528 0.3528  3 Os 2.53, 3 Ti 2.73, 3 Ga 2.83
29 Ga 0.1239 0.6282 0.1239  4 Os 2.62-2.65, 3 Ti 2.80, 3 Ga 2.83

=====

# 3
Computed, not measured: a relaxed structure of Ho2Se3O9 at the PBE level of DFT.

Results
As for the symmetry: P-1, No. 2. The energy above the most stable polymorph in this dataset comes out at 0.0000 eV/atom. As for the energy of formation: -2.3499 eV/atom.

Unit cell a=7.0810 b=8.1121 c=9.0621 alpha=71.57 beta=70.15 gamma=65.94
Last column: nearest neighbours and their distance in Å.
Atoms (fractional coordinates):
1 O 0.3482 0.2081 0.9481  1 Se 1.71
2 O 0.8335 0.4323 0.8795  1 Se 1.70
3 O 0.0663 0.6953 0.8315  1 Se 1.74
4 Se 0.4278 0.7755 0.1975  3 O 1.71-1.75
5 O 0.6413 0.0562 0.6938  1 Se 1.75
6 Se 0.1458 0.7528 0.9652  3 O 1.70-1.74
7 O 0.9652 0.2963 0.4459  1 Se 1.76
8 Se 0.1126 0.2428 0.5863  3 O 1.69-1.76
9 O 0.3587 0.9438 0.3062  1 Se 1.75
10 Se 0.8542 0.2472 0.0348  3 O 1.70-1.74
11 O 0.6562 0.7462 0.5635  1 Se 1.75
12 O 0.4832 0.4069 0.6488  1 Se 1.75
13 O 0.5927 0.2867 0.1498  1 Se 1.74
14 O 0.8426 0.9860 0.3445  1 Se 1.69
15 Ho 0.6663 0.2715 0.4103  7 O 2.27-2.54
16 Se 0.8874 0.7572 0.4137  3 O 1.69-1.76
17 O 0.0348 0.7037 0.5541  1 Se 1.76
18 O 0.9337 0.3047 0.1685  1 Se 1.74
19 O 0.5168 0.5931 0.3512  1 Se 1.75
20 Ho 0.3337 0.7285 0.5897  7 O 2.27-2.54
21 Ho 0.7417 0.7351 0.7981  7 O 2.21-2.46
22 O 0.3438 0.2538 0.4365  1 Se 1.75
23 O 0.4073 0.7133 0.8502  1 Se 1.74
24 O 0.1665 0.5677 0.1205  1 Se 1.70
25 Se 0.5722 0.2245 0.8025  3 O 1.71-1.75
26 O 0.1574 0.0140 0.6555  1 Se 1.69
27 O 0.6518 0.7919 0.0519  1 Se 1.71
28 Ho 0.2583 0.2649 0.2019  7 O 2.21-2.46

=====

# 4
Computed, not measured: a relaxed structure of Rb2GaAs2 at the PBE level of DFT.

Results
As for the symmetry: P2_1/c, No. 14. As for the energy of formation: -0.4761 eV/atom.

Unit cell a=14.9239 b=9.2360 c=11.8886 alpha=61.77 beta=90.00 gamma=90.00
Last column: nearest neighbours and their distance in Å.
Atoms (fractional coordinates):
1 Rb 0.6171 0.4924 0.5694  4 As 3.45-3.57, 1 Rb 3.84
2 As 0.6904 0.6275 0.7875  1 Ga 2.41, 1 As 2.48
3 Rb 0.3694 0.4092 0.9066  5 As 3.53-3.65, 1 Rb 3.92
4 Rb 0.6136 0.2051 0.9770  6 As 3.65-3.92, 3 Ga 3.70-3.97, 1 Rb 4.00
5 As 0.7887 0.1065 0.2283  2 Ga 2.42-2.44
6 Rb 0.6291 0.0135 0.4644  4 As 3.47-3.83, 3 Ga 3.58-3.84
7 Rb 0.8864 0.2051 0.4770  6 As 3.65-3.92, 3 Ga 3.70-3.97, 1 Rb 4.00
8 Ga 0.4417 0.9989 0.2433  3 As 2.42-2.45
9 Ga 0.9417 0.0011 0.2567  3 As 2.42-2.45
10 Ga 0.7837 0.8565 0.7573  3 As 2.41-2.47
11 As 0.5549 0.7972 0.2603  2 Ga 2.45-2.47
12 Ga 0.7163 0.8565 0.2573  3 As 2.41-2.47
13 Ga 0.2837 0.1435 0.7427  3 As 2.41-2.47
14 Rb 0.8694 0.5908 0.5934  5 As 3.53-3.65, 1 Rb 3.92
15 Rb 0.3864 0.7949 0.0230  6 As 3.65-3.92, 3 Ga 3.70-3.97, 1 Rb 4.00
16 Rb 0.1136 0.7949 0.5230  6 As 3.65-3.92, 3 Ga 3.70-3.97, 1 Rb 4.00
17 As 0.2887 0.8935 0.2717  2 Ga 2.42-2.44
18 As 0.1904 0.3725 0.7125  1 Ga 2.41, 1 As 2.48
19 Ga 0.0583 0.9989 0.7433  3 As 2.42-2.45
20 Rb 0.8709 0.0135 0.9644  4 As 3.47-3.83, 3 Ga 3.58-3.84
21 As 0.0549 0.2028 0.2397  2 Ga 2.45-2.47
22 As 0.2113 0.8935 0.7717  2 Ga 2.42-2.44
23 As 0.7113 0.1065 0.7283  2 Ga 2.42-2.44
24 Rb 0.1291 0.9865 0.0356  4 As 3.47-3.83, 3 Ga 3.58-3.84
25 Rb 0.3829 0.5076 0.4306  4 As 3.45-3.57, 1 Rb 3.84
26 Rb 0.8829 0.4924 0.0694  4 As 3.45-3.57, 1 Rb 3.84
27 As 0.5353 0.7298 0.7790  1 Ga 2.42, 1 As 2.48
28 Ga 0.2163 0.1435 0.2427  3 As 2.41-2.47
29 Rb 0.1171 0.5076 0.9306  4 As 3.45-3.57, 1 Rb 3.84
30 Ga 0.5583 0.0011 0.7567  3 As 2.42-2.45
31 As 0.9451 0.7972 0.7603  2 Ga 2.45-2.47
32 As 0.4647 0.2702 0.2210  1 Ga 2.42, 1 As 2.48
33 Rb 0.6306 0.5908 0.0934  5 As 3.53-3.65, 1 Rb 3.92
34 As 0.4451 0.2028 0.7397  2 Ga 2.45-2.47
35 As 0.9647 0.7298 0.2790  1 Ga 2.42, 1 As 2.48
36 As 0.3096 0.3725 0.2125  1 Ga 2.41, 1 As 2.48
37 Rb 0.1306 0.4092 0.4066  5 As 3.53-3.65, 1 Rb 3.92
38 As 0.0353 0.2702 0.7210  1 Ga 2.42, 1 As 2.48
39 As 0.8096 0.6275 0.2875  1 Ga 2.41, 1 As 2.48
40 Rb 0.3709 0.9865 0.5356  4 As 3.47-3.83, 3 Ga 3.58-3.84

=====

# 5
Computed, not measured: a relaxed structure of Lu3Tl2Cu5Se8 at the PBE level of DFT.

Results
As for the symmetry: Cm, No. 8. As for the energy of formation: -1.1058 eV/atom.

Unit cell a=7.4429 b=7.4429 c=14.6969 alpha=70.24 beta=70.24 gamma=31.69
Last column: nearest neighbours and their distance in Å.
Atoms (fractional coordinates):
1 Se 0.3868 0.3868 0.6229  2 Cu 2.47
2 Cu 0.5881 0.5881 0.7486  4 Se 2.46-2.52, 1 Cu 2.62
3 Se 0.6944 0.6944 0.8530  3 Cu 2.51-2.61, 2 Lu 2.80
4 Se 0.9859 0.9859 0.7953  2 Cu 2.46
5 Lu 0.0354 0.0354 0.5927  6 Se 2.80-2.86
6 Se 0.8083 0.8083 0.2579  2 Cu 2.42-2.48
7 Cu 0.9830 0.9830 0.2406  3 Se 2.42-2.48
8 Cu 0.7277 0.7277 0.0168  4 Se 2.47-2.61
9 Lu 0.2001 0.2001 0.2099  6 Se 2.77-2.90, 1 Cu 2.98
10 Se 0.6770 0.6770 0.5668  3 Cu 2.52-2.58, 2 Lu 2.80
11 Se 0.0532 0.0532 0.3967  2 Cu 2.49
12 Cu 0.7836 0.7836 0.6718  4 Se 2.47-2.52, 1 Cu 2.62
13 Se 0.3254 0.3254 0.0168  2 Cu 2.47, 1 Lu 2.76
14 Tl 0.3588 0.3588 0.4153  7 Se 3.21-3.43, 2 Cu 3.27
15 Se 0.5778 0.5778 0.1654  3 Cu 2.47-2.48
16 Lu 0.3363 0.3363 0.8258  6 Se 2.76-2.87
17 Tl 0.0085 0.0085 0.0097  7 Se 3.28-3.49, 1 Cu 3.28
18 Cu 0.6515 0.6515 0.4012  4 Se 2.48-2.58

=====

# 6
Computed, not measured: a relaxed structure of LuAl8Fe4 at the PBE level of DFT.

Results
As for the symmetry: I4/mmm, No. 139. As for the energy of formation: -0.4279 eV/atom.

Unit cell a=6.6126 b=6.6126 c=6.6126 alpha=98.26 beta=98.26 gamma=135.45
Last column: nearest neighbours and their distance in Å.
Atoms (fractional coordinates):
1 Al 0.5000 0.7194 0.2194  4 Fe 2.51, 6 Al 2.68-2.80
2 Lu 0.0000 0.0000 0.0000  12 Al 2.94-3.14
3 Al 0.3392 0.0000 0.3392  4 Fe 2.62, 5 Al 2.71-2.80
4 Al 0.6608 0.0000 0.6608  4 Fe 2.62, 5 Al 2.71-2.80
5 Al 0.0000 0.3392 0.3392  4 Fe 2.62, 5 Al 2.71-2.80
6 Fe 0.0000 0.5000 0.0000  2 Fe 2.51, 8 Al 2.51-2.62
7 Fe 0.5000 0.0000 0.0000  2 Fe 2.51, 8 Al 2.51-2.62
8 Al 0.2806 0.5000 0.7806  4 Fe 2.51, 6 Al 2.68-2.80
9 Al 0.7194 0.5000 0.2194  4 Fe 2.51, 6 Al 2.68-2.80
10 Al 0.5000 0.2806 0.7806  4 Fe 2.51, 6 Al 2.68-2.80
11 Fe 0.0000 0.0000 0.5000  2 Fe 2.51, 8 Al 2.51-2.62
12 Fe 0.5000 0.5000 0.5000  2 Fe 2.51, 8 Al 2.51-2.62
13 Al 0.0000 0.6608 0.6608  4 Fe 2.62, 5 Al 2.71-2.80